A relaxed CsZn4B3O9 crystal. Source: Materials Project, functional PBE.

```
data_CsZn4B3O9
_cell_length_a 7.0051
_cell_length_b 5.0720
_cell_length_c 13.1755
_cell_angle_alpha 90.00
_cell_angle_beta 93.42
_cell_angle_gamma 90.00
_space_group_name_H-M_alt 'P 1 2/c 1'
_space_group_IT_number 13
_space_group_name_Hall '-P 2yc'
loop_
_atom_site_label
_atom_site_type_symbol
_atom_site_fract_x
_atom_site_fract_y
_atom_site_fract_z
Cs1 Cs 0.0000 0.2346 0.2500
Zn1 Zn 0.2106 0.3309 0.5606
Zn2 Zn 0.4885 0.1470 0.1257
B1 B 0.1927 0.1553 0.9580
B2 B 0.5000 0.3475 0.7500
O1 O 0.0431 0.2478 0.8986
O2 O 0.2710 0.0984 0.4423
O3 O 0.2774 0.2999 0.0392
O4 O 0.4060 0.2100 0.6711
O5 O 0.5000 0.3766 0.2500
```

Calculated values
total moment = 0.0 μB per cell
total energy = -6.111 eV per atom
energy with MP2020 corrections = -6.48 eV per atom